Record 1
K2InHgBr6 | GGA-PBE | relaxed

Computed properties:
The final energy comes out at -2.563 eV per atom. For the formation energy, the calculation gives -1374.0 meV per atom. As for the total magnetization: 0.0 μB/cell.

Cell lengths 8.012, 8.012, 8.012 Å; angles 60.00, 60.00, 60.00 degrees
Element x y z (fractional)
1 K 0.250 0.250 0.250
2 K 0.750 0.750 0.750
3 In 0.000 0.000 0.000
4 Hg 0.500 0.500 0.500
5 Br 0.243 0.243 0.757
6 Br 0.243 0.757 0.243
7 Br 0.243 0.757 0.757
8 Br 0.757 0.243 0.243
9 Br 0.757 0.243 0.757
10 Br 0.757 0.757 0.243

=====

Record 2
Na2InHgBr6 | GGA-PBE | relaxed

Computed properties:
The final energy comes out at -2.404 eV per atom. For the formation energy, the calculation gives -1172.2 meV per atom. As for the total magnetization: 0.0 μB/cell.

Cell lengths 7.963, 7.963, 7.963 Å; angles 60.00, 60.00, 60.00 degrees
Element x y z (fractional)
1 Na 0.250 0.250 0.250
2 Na 0.750 0.750 0.750
3 In 0.000 0.000 0.000
4 Hg 0.500 0.500 0.500
5 Br 0.243 0.243 0.757
6 Br 0.243 0.757 0.243
7 Br 0.243 0.757 0.757
8 Br 0.757 0.243 0.243
9 Br 0.757 0.243 0.757
10 Br 0.757 0.757 0.243

=====

Record 3
Rb2InHgBr6 | GGA-PBE | relaxed

Computed properties:
The final energy comes out at -2.578 eV per atom. For the formation energy, the calculation gives -1414.3 meV per atom. As for the total magnetization: 0.0 μB/cell.

Cell lengths 8.038, 8.038, 8.038 Å; angles 60.00, 60.00, 60.00 degrees
Element x y z (fractional)
1 Rb 0.250 0.250 0.250
2 Rb 0.750 0.750 0.750
3 In 0.000 0.000 0.000
4 Hg 0.500 0.500 0.500
5 Br 0.242 0.242 0.758
6 Br 0.242 0.758 0.242
7 Br 0.242 0.758 0.758
8 Br 0.758 0.242 0.242
9 Br 0.758 0.242 0.758
10 Br 0.758 0.758 0.242

=====

Record 4
InHg6Sb4Br7 | GGA-PBE | relaxed

Computed properties:
The final energy comes out at -2.203 eV per atom. For the formation energy, the calculation gives -602.4 meV per atom. As for the total magnetization: 0.0 μB/cell.

Cell lengths 13.376, 13.376, 13.376 Å; angles 90.00, 90.00, 90.00 degrees
Element x y z (fractional)
1 In 0.000 0.000 0.000
2 In 0.000 0.500 0.500
3 In 0.500 0.000 0.500
4 In 0.500 0.500 0.000
5 Hg 0.052 0.187 0.704
6 Hg 0.052 0.313 0.204
7 Hg 0.187 0.704 0.052
8 Hg 0.187 0.796 0.552
9 Hg 0.204 0.052 0.313
10 Hg 0.204 0.448 0.813
11 Hg 0.296 0.552 0.313
12 Hg 0.296 0.948 0.813
13 Hg 0.313 0.204 0.052
14 Hg 0.313 0.296 0.552
15 Hg 0.448 0.687 0.704
16 Hg 0.448 0.813 0.204
17 Hg 0.552 0.187 0.796
18 Hg 0.552 0.313 0.296
19 Hg 0.687 0.704 0.448
20 Hg 0.687 0.796 0.948
21 Hg 0.704 0.052 0.187
22 Hg 0.704 0.448 0.687
23 Hg 0.796 0.552 0.187
24 Hg 0.796 0.948 0.687
25 Hg 0.813 0.204 0.448
26 Hg 0.813 0.296 0.948
27 Hg 0.948 0.687 0.796
28 Hg 0.948 0.813 0.296
29 Sb 0.133 0.633 0.867
30 Sb 0.133 0.867 0.367
31 Sb 0.238 0.238 0.238
32 Sb 0.238 0.262 0.738
33 Sb 0.262 0.738 0.238
34 Sb 0.262 0.762 0.738
35 Sb 0.367 0.133 0.867
36 Sb 0.367 0.367 0.367
37 Sb 0.633 0.633 0.633
38 Sb 0.633 0.867 0.133
39 Sb 0.738 0.238 0.262
40 Sb 0.738 0.262 0.762
41 Sb 0.762 0.738 0.262
42 Sb 0.762 0.762 0.762
43 Sb 0.867 0.133 0.633
44 Sb 0.867 0.367 0.133
45 Br 0.000 0.000 0.500
46 Br 0.000 0.500 0.000
47 Br 0.039 0.548 0.305
48 Br 0.039 0.952 0.805
49 Br 0.048 0.195 0.961
50 Br 0.048 0.305 0.461
51 Br 0.195 0.539 0.548
52 Br 0.195 0.961 0.048
53 Br 0.305 0.039 0.548
54 Br 0.305 0.461 0.048
55 Br 0.452 0.695 0.961
56 Br 0.452 0.805 0.461
57 Br 0.461 0.048 0.305
58 Br 0.461 0.452 0.805
59 Br 0.500 0.000 0.000
60 Br 0.500 0.500 0.500
61 Br 0.539 0.548 0.195
62 Br 0.539 0.952 0.695
63 Br 0.548 0.195 0.539
64 Br 0.548 0.305 0.039
65 Br 0.695 0.539 0.952
66 Br 0.695 0.961 0.452
67 Br 0.805 0.039 0.952
68 Br 0.805 0.461 0.452
69 Br 0.952 0.695 0.539
70 Br 0.952 0.805 0.039
71 Br 0.961 0.048 0.195
72 Br 0.961 0.452 0.695

=====

Record 5
Hg5Br11N | GGA-PBE | relaxed

Computed properties:
The final energy comes out at -1.684 eV per atom. For the formation energy, the calculation gives -65.9 meV per atom. As for the total magnetization: 2.0 μB/cell.

Cell lengths 10.248, 10.248, 6.964 Å; angles 107.51, 107.51, 101.90 degrees
Element x y z (fractional)
1 Hg 0.000 0.000 0.000
2 Hg 0.148 0.482 0.316
3 Hg 0.482 0.148 0.316
4 Hg 0.518 0.852 0.684
5 Hg 0.852 0.518 0.684
6 Br 0.079 0.328 0.928
7 Br 0.144 0.144 0.395
8 Br 0.204 0.640 0.698
9 Br 0.328 0.079 0.928
10 Br 0.360 0.796 0.302
11 Br 0.500 0.500 0.500
12 Br 0.640 0.204 0.698
13 Br 0.672 0.921 0.072
14 Br 0.796 0.360 0.302
15 Br 0.856 0.856 0.605
16 Br 0.921 0.672 0.072
17 N 0.500 0.500 0.000

=====

Record 6
Hg2SBr4N2O3 | GGA-PBE | relaxed

Computed properties:
The final energy comes out at -3.259 eV per atom. For the formation energy, the calculation gives 136.7 meV per atom. As for the total magnetization: 12.0 μB/cell.

Cell lengths 10.391, 7.289, 11.311 Å; angles 90.00, 96.61, 90.00 degrees
Element x y z (fractional)
1 Hg 0.078 0.250 0.008
2 Hg 0.341 0.750 0.021
3 Hg 0.659 0.250 0.979
4 Hg 0.922 0.750 0.992
5 S 0.207 0.250 0.419
6 S 0.793 0.750 0.581
7 Br 0.089 0.750 0.164
8 Br 0.178 0.750 0.842
9 Br 0.279 0.250 0.145
10 Br 0.481 0.250 0.819
11 Br 0.519 0.750 0.181
12 Br 0.721 0.750 0.855
13 Br 0.822 0.250 0.158
14 Br 0.911 0.250 0.836
15 N 0.134 0.250 0.668
16 N 0.350 0.750 0.557
17 N 0.650 0.250 0.443
18 N 0.866 0.750 0.332
19 O 0.138 0.079 0.403
20 O 0.138 0.421 0.403
21 O 0.345 0.250 0.454
22 O 0.655 0.750 0.546
23 O 0.862 0.579 0.597
24 O 0.862 0.921 0.597

=====

Record 7
Nb6HgBr16O18 | GGA-PBE | relaxed

Computed properties:
The final energy comes out at -4.860 eV per atom. For the formation energy, the calculation gives -563.3 meV per atom. As for the total magnetization: 11.5 μB/cell.

Cell lengths 14.989, 14.989, 14.989 Å; angles 60.00, 60.00, 60.00 degrees
Element x y z (fractional)
1 Nb 0.026 0.026 0.724
2 Nb 0.026 0.724 0.026
3 Nb 0.026 0.724 0.724
4 Nb 0.276 0.276 0.974
5 Nb 0.276 0.974 0.276
6 Nb 0.276 0.974 0.974
7 Nb 0.724 0.026 0.026
8 Nb 0.724 0.026 0.724
9 Nb 0.724 0.724 0.026
10 Nb 0.974 0.276 0.276
11 Nb 0.974 0.276 0.974
12 Nb 0.974 0.974 0.276
13 Hg 0.375 0.375 0.375
14 Hg 0.625 0.625 0.625
15 Br 0.122 0.631 0.874
16 Br 0.122 0.874 0.631
17 Br 0.122 0.874 0.874
18 Br 0.126 0.126 0.369
19 Br 0.126 0.126 0.878
20 Br 0.126 0.369 0.126
21 Br 0.126 0.369 0.878
22 Br 0.126 0.878 0.126
23 Br 0.126 0.878 0.369
24 Br 0.303 0.303 0.303
25 Br 0.303 0.303 0.591
26 Br 0.303 0.591 0.303
27 Br 0.369 0.126 0.126
28 Br 0.369 0.126 0.878
29 Br 0.369 0.878 0.126
30 Br 0.409 0.697 0.697
31 Br 0.591 0.303 0.303
32 Br 0.631 0.122 0.874
33 Br 0.631 0.874 0.122
34 Br 0.631 0.874 0.874
35 Br 0.697 0.409 0.697
36 Br 0.697 0.697 0.409
37 Br 0.697 0.697 0.697
38 Br 0.874 0.122 0.631
39 Br 0.874 0.122 0.874
40 Br 0.874 0.631 0.122
41 Br 0.874 0.631 0.874
42 Br 0.874 0.874 0.122
43 Br 0.874 0.874 0.631
44 Br 0.878 0.126 0.126
45 Br 0.878 0.126 0.369
46 Br 0.878 0.369 0.126
47 O 0.025 0.441 0.441
48 O 0.025 0.441 0.594
49 O 0.025 0.594 0.441
50 O 0.107 0.107 0.643
51 O 0.107 0.643 0.107
52 O 0.107 0.643 0.643
53 O 0.357 0.357 0.893
54 O 0.357 0.893 0.357
55 O 0.357 0.893 0.893
56 O 0.406 0.559 0.559
57 O 0.406 0.559 0.975
58 O 0.406 0.975 0.559
59 O 0.441 0.025 0.441
60 O 0.441 0.025 0.594
61 O 0.441 0.441 0.025
62 O 0.441 0.441 0.594
63 O 0.441 0.594 0.025
64 O 0.441 0.594 0.441
65 O 0.559 0.406 0.559
66 O 0.559 0.406 0.975
67 O 0.559 0.559 0.406
68 O 0.559 0.559 0.975
69 O 0.559 0.975 0.406
70 O 0.559 0.975 0.559
71 O 0.594 0.025 0.441
72 O 0.594 0.441 0.025
73 O 0.594 0.441 0.441
74 O 0.643 0.107 0.107
75 O 0.643 0.107 0.643
76 O 0.643 0.643 0.107
77 O 0.893 0.357 0.357
78 O 0.893 0.357 0.893
79 O 0.893 0.893 0.357
80 O 0.975 0.406 0.559
81 O 0.975 0.559 0.406
82 O 0.975 0.559 0.559

=====

Record 8
Hg8Br3O4 | GGA-PBE | relaxed

Computed properties:
The final energy comes out at -1.841 eV per atom. As for the energy above the most stable polymorph in this dataset: 441 meV per atom. For the formation energy, the calculation gives -75.2 meV per atom. As for the total magnetization: 0.1 μB/cell.

Cell lengths 7.776, 6.489, 41.451 Å; angles 90.00, 94.34, 90.00 degrees
Element x y z (fractional)
1 Hg 0.031 0.190 0.010
2 Hg 0.031 0.310 0.510
3 Hg 0.068 0.555 0.329
4 Hg 0.068 0.945 0.829
5 Hg 0.104 0.570 0.154
6 Hg 0.104 0.930 0.654
7 Hg 0.114 0.726 0.242
8 Hg 0.114 0.774 0.742
9 Hg 0.210 0.140 0.114
10 Hg 0.210 0.360 0.614
11 Hg 0.255 0.194 0.700
12 Hg 0.255 0.306 0.200
13 Hg 0.369 0.167 0.786
14 Hg 0.369 0.333 0.286
15 Hg 0.396 0.712 0.391
16 Hg 0.396 0.788 0.891
17 Hg 0.604 0.212 0.109
18 Hg 0.604 0.288 0.609
19 Hg 0.631 0.667 0.714
20 Hg 0.631 0.833 0.214
21 Hg 0.745 0.694 0.800
22 Hg 0.745 0.806 0.300
23 Hg 0.790 0.640 0.386
24 Hg 0.790 0.860 0.886
25 Hg 0.886 0.226 0.258
26 Hg 0.886 0.274 0.758
27 Hg 0.896 0.070 0.346
28 Hg 0.896 0.430 0.846
29 Hg 0.932 0.055 0.171
30 Hg 0.932 0.445 0.671
31 Hg 0.969 0.690 0.490
32 Hg 0.969 0.810 0.990
33 Br 0.134 0.510 0.043
34 Br 0.134 0.990 0.543
35 Br 0.172 0.241 0.385
36 Br 0.172 0.259 0.885
37 Br 0.381 0.652 0.797
38 Br 0.381 0.848 0.297
39 Br 0.619 0.152 0.703
40 Br 0.619 0.348 0.203
41 Br 0.828 0.741 0.115
42 Br 0.828 0.759 0.615
43 Br 0.866 0.010 0.457
44 Br 0.866 0.490 0.957
45 O 0.151 0.121 0.753
46 O 0.151 0.379 0.253
47 O 0.271 0.559 0.710
48 O 0.271 0.941 0.210
49 O 0.282 0.049 0.410
50 O 0.282 0.451 0.910
51 O 0.381 0.667 0.690
52 O 0.381 0.833 0.190
53 O 0.619 0.167 0.810
54 O 0.619 0.333 0.310
55 O 0.718 0.549 0.090
56 O 0.718 0.951 0.590
57 O 0.729 0.059 0.790
58 O 0.729 0.441 0.290
59 O 0.849 0.621 0.747
60 O 0.849 0.879 0.247